Material: Na6Co2C4SO16
Method: DFT, PBE+U
State: relaxed

Values from the calculation:
density: 2.88 g/cm3
uncorrected energy: -6.40 eV per atom

Unit cell a=13.982 b=13.982 c=13.982 alpha=90.00 beta=90.00 gamma=90.00
Space group Fd-3 (No. 203, origin choice 2)
Asymmetric unit:
Na 0.091 0.375 0.375 x48
Co 0.000 0.000 0.500 x16
C 0.031 0.031 0.719 x32
S 0.125 0.125 0.125 x8
O 0.019 0.101 0.780 x96
O 0.063 0.063 0.063 x32

=====

Material: Na4Co2C4SO16
Method: DFT, PBE+U
State: relaxed

Values from the calculation:
polymorph energy (0 for the lowest one): 4 meV per atom
density: 2.62 g/cm3
uncorrected energy: -6.46 eV per atom
size of the total moment: 60.546 μB per cell

Unit cell a=13.955 b=14.038 c=14.118 alpha=90.00 beta=90.00 gamma=90.00
Space group F222 (No. 22)
Asymmetric unit:
Na 0.000 0.000 0.215 x8
Na 0.000 0.215 0.000 x8
Na 0.036 0.250 0.250 x8
Na 0.215 0.000 0.000 x8
Co 0.128 0.124 0.624 x16
C 0.090 0.089 0.411 x16
C 0.158 0.160 0.839 x16
S 0.000 0.000 0.000 x4
S 0.250 0.250 0.250 x4
O 0.022 0.107 0.349 x16
O 0.062 0.062 0.061 x16
O 0.101 0.232 0.857 x16
O 0.102 0.146 0.482 x16
O 0.140 0.105 0.769 x16
O 0.145 0.017 0.399 x16
O 0.187 0.189 0.189 x16
O 0.228 0.143 0.896 x16

=====

Material: Na4Co2C4SO16
Method: DFT, PBE+U
State: relaxed

Values from the calculation:
polymorph energy (0 for the lowest one): 35 meV per atom
density: 2.63 g/cm3
uncorrected energy: -6.43 eV per atom
size of the total moment: 0.003 μB per cell

Unit cell a=13.863 b=13.927 c=14.293 alpha=90.00 beta=90.00 gamma=90.00
Space group Fddd (No. 70, origin choice 2)
Asymmetric unit:
Na 0.087 0.375 0.375 x16
Na 0.125 0.338 0.125 x16
Co 0.000 0.000 0.500 x16
C 0.035 0.036 0.711 x32
S 0.125 0.125 0.125 x8
O 0.017 0.105 0.769 x32
O 0.020 0.275 0.889 x32
O 0.062 0.062 0.066 x32
O 0.104 0.275 0.522 x32

=====

| no. | formation enthalpy at 0 K (meV/atom) |
| --- | --- |
| 1 | -1981 |
| 2 | -1813 |
| 3 | -1782 |